Entry 1:
{"formula": "MgSi2", "functional": "GGA-PBE", "state": "optimized geometry", "polymorph_energy_mev_per_atom": 98, "magnetic_moment_mub_per_cell": 0.00, "formation_energy_ev_per_atom": 0.18, "density_g_cm3": 2.4, "cell": [[6.948, 0.000, 0.000], [0.000, 3.711, 0.000], [-3.223, 0.000, 8.710]], "species": ["Mg", "Mg", "Mg", "Mg", "Si", "Si", "Si", "Si", "Si", "Si", "Si", "Si"], "fractional_positions": [[0.000, 0.000, 0.000], [0.118, 0.500, 0.438], [0.591, 0.500, 0.002], [0.819, 0.000, 0.533], [0.076, 0.500, 0.728], [0.287, 0.500, 0.200], [0.298, 0.000, 0.827], [0.394, 0.000, 0.379], [0.508, 0.000, 0.661], [0.655, 0.500, 0.300], [0.742, 0.500, 0.766], [0.834, 0.000, 0.233]]}



Entry 2:
{"formula": "K2SiH4N2O2", "functional": "GGA-PBE", "state": "optimized geometry", "formation_energy_ev_per_atom": -1.26, "density_g_cm3": 2.1, "cell": [[6.880, 0.000, 0.000], [0.000, 10.030, 0.000], [-0.130, 0.000, 7.675]], "species": ["K", "K", "K", "K", "K", "K", "K", "K", "Si", "Si", "Si", "Si", "H", "H", "H", "H", "H", "H", "H", "H", "H", "H", "H", "H", "H", "H", "H", "H", "N", "N", "N", "N", "N", "N", "N", "N", "O", "O", "O", "O", "O", "O", "O", "O"], "fractional_positions": [[0.149, 0.062, 0.341], [0.149, 0.438, 0.841], [0.156, 0.696, 0.519], [0.156, 0.804, 0.019], [0.844, 0.196, 0.981], [0.844, 0.304, 0.481], [0.851, 0.562, 0.159], [0.851, 0.938, 0.659], [0.286, 0.075, 0.756], [0.286, 0.425, 0.256], [0.714, 0.575, 0.744], [0.714, 0.925, 0.244], [0.253, 0.182, 0.036], [0.253, 0.318, 0.536], [0.397, 0.052, 0.056], [0.397, 0.448, 0.556], [0.451, 0.618, 0.936], [0.451, 0.882, 0.436], [0.454, 0.732, 0.780], [0.454, 0.768, 0.280], [0.546, 0.232, 0.720], [0.546, 0.268, 0.220], [0.549, 0.118, 0.564], [0.549, 0.382, 0.064], [0.603, 0.552, 0.444], [0.603, 0.948, 0.944], [0.747, 0.682, 0.464], [0.747, 0.818, 0.964], [0.281, 0.089, 0.987], [0.281, 0.411, 0.487], [0.479, 0.633, 0.806], [0.479, 0.867, 0.306], [0.521, 0.133, 0.694], [0.521, 0.367, 0.194], [0.719, 0.589, 0.513], [0.719, 0.911, 0.013], [0.109, 0.169, 0.685], [0.109, 0.331, 0.185], [0.271, 0.580, 0.197], [0.271, 0.920, 0.697], [0.729, 0.080, 0.303], [0.729, 0.420, 0.803], [0.891, 0.669, 0.815], [0.891, 0.831, 0.315]]}



Entry 3:
{"formula": "SmMg3", "functional": "GGA-PBE", "state": "optimized geometry", "formation_energy_ev_per_atom": -0.11, "density_g_cm3": 3.7, "cell": [[0.000, 3.689, 3.689], [3.689, 0.000, 3.689], [3.689, 3.689, 0.000]], "species": ["Sm", "Mg", "Mg", "Mg"], "fractional_positions": [[0.000, 0.000, 0.000], [0.250, 0.250, 0.250], [0.500, 0.500, 0.500], [0.750, 0.750, 0.750]]}